(1)
## NbAgO3 (PBE)

Data for crystalline NbAgO3 at its relaxed geometry.

Cell lengths 6.8423, 6.8423, 3.1156 Å; angles 90.00, 90.00, 110.18 degrees
Element x y z (fractional)
Nb 0.5000 0.0000 0.0000
Nb 0.0000 0.5000 0.0000
Ag 0.5000 0.5000 0.5000
Ag 0.0000 0.0000 0.5000
O 0.7371 0.2629 0.0000
O 0.6289 0.8902 0.5000
O 0.2629 0.7371 0.0000
O 0.8902 0.6289 0.5000
O 0.1098 0.3711 0.5000
O 0.3711 0.1098 0.5000

E_tot   -7.29 eV per atom
Calculated formation energy   -2.1501 eV per atom
Symmetry   Cmmm, No. 65

(2)
## NbAgO3 (PBE)

Data for crystalline NbAgO3 at its relaxed geometry.

Cell lengths 5.6336, 5.6336, 8.0123 Å; angles 90.00, 90.00, 90.40 degrees
Element x y z (fractional)
Nb 0.5000 0.0000 0.0000
Nb 0.0000 0.5000 0.0000
Nb 0.5000 0.0000 0.5000
Nb 0.0000 0.5000 0.5000
Ag 0.0044 0.9956 0.7500
Ag 0.9956 0.0044 0.2500
Ag 0.5035 0.4965 0.7500
Ag 0.4965 0.5035 0.2500
O 0.7061 0.7061 0.0000
O 0.7061 0.7061 0.5000
O 0.2939 0.2939 0.0000
O 0.2939 0.2939 0.5000
O 0.7919 0.2081 0.9693
O 0.2081 0.7919 0.0307
O 0.7919 0.2081 0.5307
O 0.2081 0.7919 0.4693
O 0.4611 0.9772 0.7500
O 0.9772 0.4611 0.2500
O 0.5389 0.0228 0.2500
O 0.0228 0.5389 0.7500

E_tot   -7.31 eV per atom
Calculated formation energy   -2.1699 eV per atom
Symmetry   Cmcm, No. 63

(3)
## Nb4Ag2O11 (PBE)

Data for crystalline Nb4Ag2O11 at its relaxed geometry.

Cell lengths 13.2431, 13.2431, 13.2431 Å; angles 27.35, 27.35, 27.35 degrees
Element x y z (fractional)
Nb 0.0039 0.0039 0.0039
Nb 0.5039 0.5039 0.5039
Nb 0.8851 0.6220 0.2474
Nb 0.6220 0.2474 0.8851
Nb 0.2474 0.8851 0.6220
Nb 0.1220 0.3851 0.7474
Nb 0.7474 0.1220 0.3851
Nb 0.3851 0.7474 0.1220
Ag 0.3286 0.3286 0.3286
Ag 0.8286 0.8286 0.8286
Ag 0.1739 0.1739 0.1739
Ag 0.6739 0.6739 0.6739
O 0.9474 0.7170 0.2360
O 0.7170 0.2360 0.9474
O 0.2360 0.9474 0.7170
O 0.2170 0.4474 0.7360
O 0.7360 0.2170 0.4474
O 0.4474 0.7360 0.2170
O 0.0930 0.0930 0.0930
O 0.5930 0.5930 0.5930
O 0.4032 0.4032 0.4032
O 0.9032 0.9032 0.9032
O 0.5026 0.9915 0.2512
O 0.9915 0.2512 0.5026
O 0.2512 0.5026 0.9915
O 0.4915 0.0026 0.7512
O 0.7512 0.4915 0.0026
O 0.0026 0.7512 0.4915
O 0.5466 0.2551 0.7849
O 0.2551 0.7849 0.5466
O 0.7849 0.5466 0.2551
O 0.7551 0.0466 0.2849
O 0.2849 0.7551 0.0466
O 0.0466 0.2849 0.7551

E_tot   -7.99 eV per atom
Relative energy among the computed polymorphs   0.002 eV per atom
Calculated formation energy   -2.5260 eV per atom
Symmetry   R3c, No. 161

(4)
## NbAgO3 (PBE)

Data for crystalline NbAgO3 at its relaxed geometry.

Cell lengths 6.8500, 6.8500, 3.1130 Å; angles 90.00, 90.00, 110.26 degrees
Element x y z (fractional)
Nb 0.5000 0.0000 0.0000
Nb 0.0000 0.5000 0.0000
Ag 0.5000 0.5000 0.5000
Ag 0.0000 0.0000 0.5000
O 0.7482 0.2518 0.0000
O 0.6208 0.8819 0.5000
O 0.2518 0.7482 0.0000
O 0.8819 0.6208 0.5000
O 0.1181 0.3792 0.5000
O 0.3792 0.1181 0.5000

E_tot   -7.30 eV per atom
Calculated formation energy   -2.1539 eV per atom
Symmetry   Cmmm, No. 65

(5)
## Nb4Ag2O11 (PBE)

Data for crystalline Nb4Ag2O11 at its relaxed geometry.

Cell lengths 6.3308, 6.3308, 13.0797 Å; angles 76.16, 76.16, 59.05 degrees
Element x y z (fractional)
Nb 0.7536 0.6079 0.2493
Nb 0.6079 0.7536 0.7493
Nb 0.3936 0.2447 0.2495
Nb 0.2447 0.3936 0.7495
Nb 0.1258 0.8822 0.2422
Nb 0.8822 0.1258 0.7422
Nb 0.5159 0.0003 0.9930
Nb 0.0003 0.5159 0.4930
Ag 0.3227 0.8351 0.5111
Ag 0.8351 0.3227 0.0111
Ag 0.1780 0.6642 0.9862
Ag 0.6642 0.1780 0.4862
O 0.7431 0.7195 0.0960
O 0.7195 0.7431 0.5960
O 0.2740 0.2544 0.4086
O 0.2544 0.2740 0.9086
O 0.7499 0.5699 0.4093
O 0.5699 0.7499 0.9093
O 0.4356 0.2390 0.0958
O 0.2390 0.4356 0.5958
O 0.2212 0.9382 0.0929
O 0.9382 0.2212 0.5929
O 0.0589 0.7778 0.4089
O 0.7778 0.0589 0.9089
O 0.9931 0.2482 0.2537
O 0.2482 0.9931 0.7537
O 0.7529 0.0035 0.2501
O 0.0035 0.7529 0.7501
O 0.4067 0.9051 0.2812
O 0.9051 0.4067 0.7812
O 0.0944 0.5905 0.2201
O 0.5905 0.0944 0.7201
O 0.4937 0.5039 0.2519
O 0.5039 0.4937 0.7519

E_tot   -7.99 eV per atom
Relative energy among the computed polymorphs   0.002 eV per atom
Calculated formation energy   -2.5252 eV per atom
Symmetry   Cc, No. 9

(6)
## NbAgO3 (PBE)

Data for crystalline NbAgO3 at its relaxed geometry.

Cell lengths 5.6622, 5.7673, 15.7658 Å; angles 90.00, 90.00, 90.00 degrees
Element x y z (fractional)
Nb 0.2447 0.2335 0.6248
Nb 0.2447 0.2335 0.3752
Nb 0.7553 0.7335 0.3752
Nb 0.7553 0.7335 0.6248
Nb 0.7564 0.7998 0.1252
Nb 0.7564 0.7998 0.8748
Nb 0.2436 0.2998 0.8748
Nb 0.2436 0.2998 0.1252
Ag 0.2564 0.7625 0.7497
Ag 0.2564 0.7625 0.2503
Ag 0.7436 0.2625 0.2503
Ag 0.7436 0.2625 0.7497
Ag 0.2593 0.7418 0.5000
Ag 0.7407 0.2418 0.5000
Ag 0.2592 0.7897 0.0000
Ag 0.7408 0.2897 0.0000
O 0.3160 0.2658 0.7498
O 0.3160 0.2658 0.2502
O 0.6840 0.7658 0.2502
O 0.6840 0.7658 0.7498
O 0.1844 0.2864 0.5000
O 0.8156 0.7864 0.5000
O 0.4701 0.9942 0.6075
O 0.4701 0.9942 0.3925
O 0.5299 0.4942 0.3925
O 0.5299 0.4942 0.6075
O 0.9706 0.0484 0.6422
O 0.9706 0.0484 0.3578
O 0.0294 0.5484 0.3578
O 0.0294 0.5484 0.6422
O 0.8008 0.7407 0.0000
O 0.1992 0.2407 0.0000
O 0.9596 0.4714 0.1405
O 0.9596 0.4714 0.8595
O 0.0404 0.9714 0.8595
O 0.0404 0.9714 0.1405
O 0.5432 0.0488 0.1099
O 0.5432 0.0488 0.8901
O 0.4568 0.5488 0.8901
O 0.4568 0.5488 0.1099

E_tot   -7.32 eV per atom
Calculated formation energy   -2.1812 eV per atom
Symmetry   Pmc2_1, No. 26

(7)
## NbAgO2 (PBE)

Data for crystalline NbAgO2 at its relaxed geometry.

Cell lengths 5.4349, 5.4349, 12.0043 Å; angles 90.00, 90.00, 92.25 degrees
Element x y z (fractional)
Nb 0.0000 0.5000 0.0000
Nb 0.0000 0.5000 0.6671
Nb 0.5000 0.0000 0.6671
Nb 0.0000 0.5000 0.3329
Nb 0.5000 0.0000 0.3329
Nb 0.5000 0.0000 0.0000
Ag 0.5000 0.5000 0.8852
Ag 0.0000 0.0000 0.7792
Ag 0.5000 0.5000 0.5000
Ag 0.0000 0.0000 0.5000
Ag 0.5000 0.5000 0.1148
Ag 0.0000 0.0000 0.2208
O 0.0000 0.5000 0.8350
O 0.5000 0.0000 0.8350
O 0.6927 0.6927 0.6707
O 0.3073 0.3073 0.6707
O 0.0000 0.5000 0.5000
O 0.5000 0.0000 0.5000
O 0.6927 0.6927 0.3293
O 0.3073 0.3073 0.3293
O 0.0000 0.5000 0.1650
O 0.5000 0.0000 0.1650
O 0.8298 0.1702 0.0000
O 0.1702 0.8298 0.0000

E_tot   -6.93 eV per atom
Calculated formation energy   -1.5650 eV per atom
Symmetry   Cmmm, No. 65

(8)
## NbAgO3 (PBE)

Data for crystalline NbAgO3 at its relaxed geometry.

Cell lengths 5.6327, 5.6327, 4.0318 Å; angles 90.00, 90.00, 90.00 degrees
Element x y z (fractional)
Nb 0.5000 0.5000 0.0000
Nb 0.0000 0.0000 0.0000
Ag 0.5000 0.0000 0.5000
Ag 0.0000 0.5000 0.5000
O 0.5000 0.5000 0.5000
O 0.0000 0.0000 0.5000
O 0.7962 0.7038 0.0000
O 0.2038 0.2962 0.0000
O 0.7038 0.2038 0.0000
O 0.2962 0.7962 0.0000

E_tot   -7.31 eV per atom
Calculated formation energy   -2.1673 eV per atom
Symmetry   P4/mbm, No. 127

(9)
## Nb4Ag2O11 (PBE)

Data for crystalline Nb4Ag2O11 at its relaxed geometry.

Cell lengths 13.0440, 13.0440, 13.0440 Å; angles 27.95, 27.95, 27.95 degrees
Element x y z (fractional)
Nb 0.3861 0.1139 0.7500
Nb 0.7500 0.3861 0.1139
Nb 0.1139 0.7500 0.3861
Nb 0.2500 0.6139 0.8861
Nb 0.8861 0.2500 0.6139
Nb 0.6139 0.8861 0.2500
Nb 0.0000 0.0000 0.0000
Nb 0.5000 0.5000 0.5000
Ag 0.6715 0.6715 0.6715
Ag 0.1715 0.1715 0.1715
Ag 0.3285 0.3285 0.3285
Ag 0.8285 0.8285 0.8285
O 0.7450 0.4362 0.2257
O 0.2257 0.7450 0.4362
O 0.4362 0.2257 0.7450
O 0.7257 0.9362 0.2450
O 0.2450 0.7257 0.9362
O 0.9362 0.2450 0.7257
O 0.2550 0.5638 0.7743
O 0.7743 0.2550 0.5638
O 0.5638 0.7743 0.2550
O 0.2743 0.0638 0.7550
O 0.7550 0.2743 0.0638
O 0.0638 0.7550 0.2743
O 0.9987 0.5013 0.7500
O 0.7500 0.9987 0.5013
O 0.5013 0.7500 0.9987
O 0.2500 0.0013 0.4987
O 0.4987 0.2500 0.0013
O 0.0013 0.4987 0.2500
O 0.5935 0.5935 0.5935
O 0.0935 0.0935 0.0935
O 0.4065 0.4065 0.4065
O 0.9065 0.9065 0.9065

E_tot   -7.99 eV per atom
Relative energy among the computed polymorphs   0.005 eV per atom
Calculated formation energy   -2.5228 eV per atom
Symmetry   R-3c, No. 167

(10)
## Nb4Ag2O11 (PBE)

Data for crystalline Nb4Ag2O11 at its relaxed geometry.

Cell lengths 13.1887, 13.1887, 13.1887 Å; angles 27.57, 27.57, 27.57 degrees
Element x y z (fractional)
Nb 0.1218 0.7479 0.3894
Nb 0.7479 0.3894 0.1218
Nb 0.3894 0.1218 0.7479
Nb 0.6201 0.8911 0.2492
Nb 0.8911 0.2492 0.6201
Nb 0.2492 0.6201 0.8911
Nb 0.0058 0.0058 0.0058
Nb 0.5060 0.5060 0.5060
Ag 0.6747 0.6747 0.6747
Ag 0.1723 0.1723 0.1723
Ag 0.8325 0.8325 0.8325
Ag 0.3310 0.3310 0.3310
O 0.4320 0.2279 0.7460
O 0.2279 0.7460 0.4320
O 0.7460 0.4320 0.2279
O 0.9374 0.2449 0.7246
O 0.2449 0.7246 0.9374
O 0.7246 0.9374 0.2449
O 0.0518 0.7533 0.2854
O 0.7533 0.2854 0.0518
O 0.2854 0.0518 0.7533
O 0.5616 0.7793 0.2509
O 0.7793 0.2509 0.5616
O 0.2509 0.5616 0.7793
O 0.4992 0.7517 0.0014
O 0.7517 0.0014 0.4992
O 0.0014 0.4992 0.7517
O 0.0007 0.4990 0.2530
O 0.4990 0.2530 0.0007
O 0.2530 0.0007 0.4990
O 0.5916 0.5916 0.5916
O 0.0913 0.0913 0.0913
O 0.9067 0.9067 0.9067
O 0.4050 0.4050 0.4050

E_tot   -7.99 eV per atom
Relative energy among the computed polymorphs   0.000 eV per atom
Calculated formation energy   -2.5276 eV per atom
Symmetry   R3, No. 146

(11)
## NbAgO3 (PBE)

Data for crystalline NbAgO3 at its relaxed geometry.

Cell lengths 4.0240, 4.0240, 4.0240 Å; angles 90.00, 90.00, 90.00 degrees
Element x y z (fractional)
Nb 0.0000 0.0000 0.0000
Ag 0.5000 0.5000 0.5000
O 0.5000 0.0000 0.0000
O 0.0000 0.5000 0.0000
O 0.0000 0.0000 0.5000

E_tot   -7.29 eV per atom
Calculated formation energy   -2.1499 eV per atom
Symmetry   Pm-3m, No. 221

(12)
## TaNbAg2O6 (PBE)

Data for crystalline TaNbAg2O6 at its relaxed geometry.

Cell lengths 5.6143, 5.6867, 15.8519 Å; angles 90.00, 90.00, 90.00 degrees
Element x y z (fractional)
Ta 0.2529 0.9813 0.8751
Ta 0.7471 0.5187 0.3751
Ta 0.2529 0.0187 0.1249
Ta 0.7471 0.4813 0.6249
Nb 0.7470 0.5194 0.1253
Nb 0.2530 0.9806 0.6253
Nb 0.7470 0.4806 0.8747
Nb 0.2530 0.0194 0.3747
Ag 0.7485 0.0000 0.0000
Ag 0.2515 0.5000 0.5000
Ag 0.2503 0.5000 0.0000
Ag 0.7497 0.0000 0.5000
Ag 0.7526 0.0132 0.2499
Ag 0.2474 0.4868 0.7499
Ag 0.7526 0.9868 0.7501
Ag 0.2474 0.5132 0.2501
O 0.4656 0.7149 0.1108
O 0.5344 0.7851 0.6108
O 0.4656 0.2851 0.8892
O 0.5344 0.2149 0.3892
O 0.5324 0.7872 0.8895
O 0.4676 0.7128 0.3895
O 0.5324 0.2128 0.1105
O 0.4676 0.2872 0.6105
O 0.8080 0.5000 0.0000
O 0.1920 0.0000 0.5000
O 0.1930 0.0000 0.0000
O 0.8070 0.5000 0.5000
O 0.6918 0.4816 0.2507
O 0.3082 0.0184 0.7507
O 0.6918 0.5184 0.7493
O 0.3082 0.9816 0.2493
O 0.9684 0.7782 0.1396
O 0.0316 0.7218 0.6396
O 0.9684 0.2218 0.8604
O 0.0316 0.2782 0.3604
O 0.0339 0.7242 0.8600
O 0.9661 0.7758 0.3600
O 0.0339 0.2758 0.1400
O 0.9661 0.2242 0.6400

E_tot   -7.61 eV per atom
Relative energy among the computed polymorphs   0.000 eV per atom
Calculated formation energy   -2.2911 eV per atom
Symmetry   P2_12_12, No. 18

(13)
## TaNbAg2O6 (PBE)

Data for crystalline TaNbAg2O6 at its relaxed geometry.

Cell lengths 4.0086, 4.0086, 8.0222 Å; angles 90.00, 90.00, 90.00 degrees
Element x y z (fractional)
Ta 0.5000 0.5000 0.5000
Nb 0.5000 0.5000 0.0000
Ag 0.0000 0.0000 0.7500
Ag 0.0000 0.0000 0.2500
O 0.5000 0.0000 0.0000
O 0.5000 0.0000 0.5000
O 0.5000 0.5000 0.7485
O 0.5000 0.5000 0.2515
O 0.0000 0.5000 0.0000
O 0.0000 0.5000 0.5000

E_tot   -7.59 eV per atom
Relative energy among the computed polymorphs   0.019 eV per atom
Calculated formation energy   -2.2723 eV per atom
Symmetry   P4/mmm, No. 123